Entry 1:
The following is a GGA-PBE calculation of an optimized crystal structure of NaNbO3, from the Materials Project database.

```
data_NaNbO3
_space_group_name_H-M_alt 'P n m a'
_space_group_IT_number 62
_cell_length_a 5.679
_cell_length_b 7.889
_cell_length_c 5.626
_cell_angle_alpha 90.00
_cell_angle_beta 90.00
_cell_angle_gamma 90.00
loop_
_space_group_symop_operation_xyz
'x,y,z'
'-x,-y,-z'
'-x+1/2,-y,z+1/2'
'x+1/2,y,-z+1/2'
'x+1/2,-y+1/2,-z+1/2'
'-x+1/2,y+1/2,z+1/2'
'-x,y+1/2,-z'
'x,-y+1/2,z'
loop_
_atom_site_label
_atom_site_type_symbol
_atom_site_fract_x
_atom_site_fract_y
_atom_site_fract_z
Na1 Na 0.007 0.250 0.005
Nb1 Nb 0.000 0.000 0.500
O1 O 0.001 0.750 0.436
O2 O 0.249 0.533 0.751
```

Output
E_form ... -2819 meV/atom
Energy with MP2020 corrections ... -8.073 eV/atom

***

Entry 2:
The following is a GGA-PBE calculation of an optimized crystal structure of Li9Ru10O30, from the Materials Project database.

```
data_Li9Ru10O30
_space_group_name_H-M_alt 'P -1'
_space_group_IT_number 2
_cell_length_a 7.980
_cell_length_b 9.189
_cell_length_c 9.574
_cell_angle_alpha 80.99
_cell_angle_beta 74.69
_cell_angle_gamma 67.42
loop_
_space_group_symop_operation_xyz
'x,y,z'
'-x,-y,-z'
loop_
_atom_site_label
_atom_site_type_symbol
_atom_site_fract_x
_atom_site_fract_y
_atom_site_fract_z
Li1 Li 0.000 0.000 0.000
Li2 Li 0.102 0.197 0.600
Li3 Li 0.196 0.401 0.205
Li4 Li 0.297 0.601 0.799
Li5 Li 0.403 0.799 0.398
Ru1 Ru 0.017 0.331 0.987
Ru2 Ru 0.206 0.065 0.194
Ru3 Ru 0.216 0.729 0.190
Ru4 Ru 0.387 0.467 0.411
Ru5 Ru 0.419 0.126 0.388
O1 O 0.005 0.655 0.214
O2 O 0.012 0.278 0.197
O3 O 0.037 0.946 0.225
O4 O 0.173 0.457 0.962
O5 O 0.196 0.122 0.992
O6 O 0.198 0.739 0.989
O7 O 0.201 0.680 0.401
O8 O 0.216 0.050 0.402
O9 O 0.232 0.342 0.432
O10 O 0.375 0.848 0.167
O11 O 0.390 0.083 0.605
O12 O 0.399 0.147 0.190
O13 O 0.400 0.515 0.201
O14 O 0.402 0.457 0.613
O15 O 0.427 0.747 0.626
```

Output
E_form ... -1564 meV/atom
Energy with MP2020 corrections ... -6.836 eV/atom

***

Entry 3:
The following is a GGA-PBE calculation of an optimized crystal structure of Na2PdO6, from the Materials Project database.

```
data_Na2PdO6
_space_group_name_H-M_alt 'P -3 1 m'
_space_group_IT_number 162
_space_group_name_Hall '-P 3 2'
_cell_length_a 5.9985
_cell_length_b 5.9985
_cell_length_c 3.6954
_cell_angle_alpha 90.00
_cell_angle_beta 90.00
_cell_angle_gamma 120.00
loop_
_atom_site_label
_atom_site_type_symbol
_atom_site_fract_x
_atom_site_fract_y
_atom_site_fract_z
Na1 Na 0.3333 0.6667 0.0000
Pd1 Pd 0.0000 0.0000 0.0000
O1 O 0.0000 0.2734 0.3036
```

Output
Relative energy among the computed polymorphs ... 4.35 kcal/mol of atoms
E_form ... -471 meV/atom
Energy with MP2020 corrections ... -4.639 eV/atom

***

Entry 4:
The following is a GGA-PBE calculation of an optimized crystal structure of Ca19MgAs14O56, from the Materials Project database.

```
data_Ca19MgAs14O56
_space_group_name_H-M_alt 'R 3'
_space_group_IT_number 146
_space_group_name_Hall 'R 3'
_cell_length_a 10.8997
_cell_length_b 10.8997
_cell_length_c 38.1935
_cell_angle_alpha 90.00
_cell_angle_beta 90.00
_cell_angle_gamma 120.00
loop_
_atom_site_label
_atom_site_type_symbol
_atom_site_fract_x
_atom_site_fract_y
_atom_site_fract_z
Ca1 Ca 0.0000 0.0000 0.0672
Ca2 Ca 0.0414 0.5060 0.0599
Ca3 Ca 0.0418 0.5347 0.5598
Ca4 Ca 0.0496 0.5271 0.6667
Ca5 Ca 0.0509 0.5223 0.1679
Ca6 Ca 0.1736 0.3866 0.8001
Ca7 Ca 0.1739 0.7859 0.2993
Mg1 Mg 0.0000 0.0000 0.5670
As1 As 0.0000 0.0000 0.3107
As2 As 0.0000 0.0000 0.8110
As3 As 0.0166 0.5245 0.8697
As4 As 0.0219 0.4947 0.3684
As5 As 0.1543 0.3509 0.5992
As6 As 0.1559 0.7991 0.1007
O1 O 0.0000 0.0000 0.2650
O2 O 0.0000 0.0000 0.7653
O3 O 0.0012 0.2354 0.1902
O4 O 0.0183 0.8597 0.3251
O5 O 0.0193 0.1585 0.8255
O6 O 0.0349 0.2978 0.9444
O7 O 0.0356 0.6272 0.1114
O8 O 0.0490 0.4617 0.4107
O9 O 0.0549 0.5910 0.9114
O10 O 0.0546 0.6723 0.8449
O11 O 0.0604 0.3835 0.3443
O12 O 0.0690 0.1685 0.6040
O13 O 0.0720 0.8955 0.1083
O14 O 0.1061 0.6689 0.3566
O15 O 0.1078 0.6918 0.6223
O16 O 0.1131 0.4249 0.1229
O17 O 0.1690 0.0815 0.5309
O18 O 0.1768 0.0926 0.0265
O19 O 0.2014 0.7910 0.0575
O20 O 0.2035 0.4137 0.5569
```

Output
E_form ... -2624 meV/atom
Energy with MP2020 corrections ... -6.869 eV/atom

***

Entry 5:
The following is a GGA-PBE calculation of an optimized crystal structure of Li2BiO3, from the Materials Project database.

```
data_Li2BiO3
_space_group_name_H-M_alt 'C 1 2/c 1'
_space_group_IT_number 15
_cell_length_a 5.831
_cell_length_b 9.746
_cell_length_c 10.417
_cell_angle_alpha 90.00
_cell_angle_beta 98.78
_cell_angle_gamma 90.00
loop_
_space_group_symop_operation_xyz
'x,y,z'
'-x,-y,-z'
'-x,y,-z+1/2'
'x,-y,z+1/2'
'x+1/2,y+1/2,z'
'-x+1/2,-y+1/2,-z'
'-x+1/2,y+1/2,-z+1/2'
'x+1/2,-y+1/2,z+1/2'
loop_
_atom_site_label
_atom_site_type_symbol
_atom_site_fract_x
_atom_site_fract_y
_atom_site_fract_z
Li1 Li 0.000 0.246 0.250
Li2 Li 0.194 0.096 0.492
Li3 Li 0.250 0.250 0.000
Bi1 Bi 0.000 0.087 0.750
Bi2 Bi 0.000 0.424 0.750
O1 O 0.113 0.073 0.131
O2 O 0.119 0.239 0.623
O3 O 0.166 0.408 0.129
```

Output
Relative energy among the computed polymorphs ... 0.74 kcal/mol of atoms
E_form ... -1820 meV/atom
Energy with MP2020 corrections ... -5.578 eV/atom

***

Entry 6:
The following is a GGA-PBE calculation of an optimized crystal structure of PmZn2Cd, from the Materials Project database.

```
data_PmZn2Cd
_space_group_name_H-M_alt 'F m -3 m'
_space_group_IT_number 225
_space_group_name_Hall '-F 4 2 3'
_cell_length_a 6.934
_cell_length_b 6.934
_cell_length_c 6.934
_cell_angle_alpha 90.00
_cell_angle_beta 90.00
_cell_angle_gamma 90.00
loop_
_atom_site_label
_atom_site_type_symbol
_atom_site_fract_x
_atom_site_fract_y
_atom_site_fract_z
Pm1 Pm 0.000 0.000 0.000
Zn1 Zn 0.250 0.250 0.250
Cd1 Cd 0.000 0.000 0.500
```

Output
E_form ... -334 meV/atom